The following is a PBE calculation of LaTaTiO6 after structural relaxation, from the Materials Project.

Unit cell a=7.202 b=7.202 c=5.308 alpha=70.69 beta=70.69 gamma=76.47
Sites, in units of the cell vectors:
La: 0.195 0.805 0.500
La: 0.805 0.195 0.000
Ta: 0.347 0.184 0.700
Ta: 0.816 0.653 0.300
Ti: 0.653 0.818 0.799
Ti: 0.182 0.347 0.201
O: 0.112 0.597 0.281
O: 0.403 0.888 0.719
O: 0.889 0.397 0.219
O: 0.603 0.111 0.781
O: 0.901 0.816 0.896
O: 0.184 0.099 0.104
O: 0.098 0.185 0.602
O: 0.815 0.902 0.398
O: 0.560 0.723 0.206
O: 0.277 0.440 0.794
O: 0.438 0.279 0.290
O: 0.721 0.562 0.710

Values from the calculation:
total moment = 0.00 μB per formula unit
energy above the lowest structure with this stoichiometry = 10 meV/atom
DFT formation energy = -3.6450 eV/atom
V = 13.49 Å³ per atom
total energy after the MP2020 corrections = -9.69 eV/atom

***

The following is a PBE calculation of Rb3Pm after structural relaxation, from the Materials Project.

Unit cell a=7.262 b=7.262 c=7.262 alpha=60.00 beta=60.00 gamma=60.00
Sites, in units of the cell vectors:
Rb: 0.250 0.250 0.250
Rb: 0.750 0.750 0.750
Rb: 0.500 0.500 0.500
Pm: 0.000 0.000 0.000

Values from the calculation:
total moment = 2.23 μB per formula unit
energy above the lowest structure with this stoichiometry = 12 meV/atom
DFT formation energy = 0.6238 eV/atom
V = 67.69 Å³ per atom

***

The following is a PBE calculation of DyFe10Si2 after structural relaxation, from the Materials Project.

Unit cell a=4.750 b=6.341 c=6.341 alpha=98.36 beta=112.00 gamma=68.00
Sites, in units of the cell vectors:
Dy: 0.000 0.000 0.000
Fe: 0.638 0.362 0.638
Fe: 0.362 0.638 0.362
Fe: 0.000 0.354 0.354
Fe: 0.000 0.646 0.646
Fe: 0.500 0.791 0.791
Fe: 0.500 0.209 0.209
Fe: 0.500 0.000 0.500
Fe: 0.000 0.000 0.500
Fe: 0.500 0.500 0.000
Fe: 0.000 0.500 0.000
Si: 0.735 0.765 0.235
Si: 0.265 0.235 0.765

Values from the calculation:
total moment = 20.33 μB per formula unit
DFT formation energy = -0.2378 eV/atom
V = 12.63 Å³ per atom
total energy after the MP2020 corrections = -7.94 eV/atom

***

The following is a PBE calculation of V3Ga after structural relaxation, from the Materials Project.

Unit cell a=2.621 b=2.621 c=8.418 alpha=90.00 beta=90.00 gamma=106.02
Sites, in units of the cell vectors:
V: 0.500 0.500 0.744
V: 0.000 0.000 0.500
V: 0.500 0.500 0.256
Ga: 0.000 0.000 0.000

Values from the calculation:
total moment = 0.03 μB per formula unit
DFT formation energy = -0.0809 eV/atom
V = 13.89 Å³ per atom

***

The following is a PBE calculation of Li3B2SbO6 after structural relaxation, from the Materials Project.

Unit cell a=9.053 b=5.353 c=11.826 alpha=64.40 beta=90.00 gamma=90.00
Sites, in units of the cell vectors:
Li: 0.974 0.518 0.325
Li: 0.653 0.444 0.384
Li: 0.986 0.924 0.905
Li: 0.153 0.556 0.116
Li: 0.486 0.076 0.595
Li: 0.474 0.482 0.175
Li: 0.526 0.518 0.825
Li: 0.514 0.924 0.405
Li: 0.847 0.444 0.884
Li: 0.014 0.076 0.095
Li: 0.347 0.556 0.616
Li: 0.026 0.482 0.675
B: 0.329 0.460 0.379
B: 0.672 0.969 0.867
B: 0.829 0.540 0.121
B: 0.172 0.031 0.633
B: 0.828 0.969 0.367
B: 0.171 0.460 0.879
B: 0.328 0.031 0.133
B: 0.671 0.540 0.621
Sb: 0.327 0.974 0.874
Sb: 0.827 0.026 0.626
Sb: 0.173 0.974 0.374
Sb: 0.673 0.026 0.126
O: 0.332 0.812 0.100
O: 0.642 0.332 0.582
O: 0.942 0.712 0.122
O: 0.044 0.168 0.640
O: 0.304 0.126 0.664
O: 0.684 0.566 0.156
O: 0.184 0.434 0.344
O: 0.804 0.874 0.836
O: 0.544 0.832 0.860
O: 0.442 0.288 0.378
O: 0.832 0.188 0.400
O: 0.142 0.668 0.918
O: 0.858 0.332 0.082
O: 0.168 0.812 0.600
O: 0.558 0.712 0.622
O: 0.456 0.168 0.140
O: 0.196 0.126 0.164
O: 0.816 0.566 0.656
O: 0.316 0.434 0.844
O: 0.696 0.874 0.336
O: 0.956 0.832 0.360
O: 0.058 0.288 0.878
O: 0.358 0.668 0.418
O: 0.668 0.188 0.900

Values from the calculation:
total moment = 0.00 μB per formula unit
energy above the lowest structure with this stoichiometry = 51 meV/atom
DFT formation energy = -2.3917 eV/atom
V = 10.77 Å³ per atom
total energy after the MP2020 corrections = -6.80 eV/atom

***

The following is a PBE calculation of Sm4Rh6Pb19 after structural relaxation, from the Materials Project.

Unit cell a=10.269 b=10.269 c=10.269 alpha=109.47 beta=109.47 gamma=109.47
Sites, in units of the cell vectors:
Sm: 0.653 0.653 0.653
Sm: 0.347 0.000 0.000
Sm: 0.000 0.347 0.000
Sm: 0.000 0.000 0.347
Rh: 0.379 0.879 0.500
Rh: 0.621 0.121 0.500
Rh: 0.879 0.500 0.379
Rh: 0.121 0.500 0.621
Rh: 0.500 0.379 0.879
Rh: 0.500 0.621 0.121
Pb: 0.696 0.696 0.000
Pb: 0.304 0.304 0.000
Pb: 0.696 0.000 0.696
Pb: 0.304 0.000 0.304
Pb: 0.000 0.696 0.696
Pb: 0.000 0.304 0.304
Pb: 0.000 0.000 0.000
Pb: 0.366 0.597 0.330
Pb: 0.634 0.964 0.232
Pb: 0.732 0.403 0.768
Pb: 0.597 0.330 0.366
Pb: 0.268 0.036 0.670
Pb: 0.964 0.232 0.634
Pb: 0.403 0.768 0.732
Pb: 0.036 0.670 0.268
Pb: 0.330 0.366 0.597
Pb: 0.768 0.732 0.403
Pb: 0.670 0.268 0.036
Pb: 0.232 0.634 0.964

Values from the calculation:
total moment = 0.01 μB per formula unit
DFT formation energy = -0.0043 eV/atom
V = 28.75 Å³ per atom

***

The following is a PBE calculation of BaH4O6 after structural relaxation, from the Materials Project.

Unit cell a=6.130 b=6.130 c=8.827 alpha=77.59 beta=77.59 gamma=60.42
Sites, in units of the cell vectors:
Ba: 0.138 0.862 0.750
Ba: 0.862 0.138 0.250
H: 0.733 0.598 0.624
H: 0.402 0.267 0.876
H: 0.267 0.402 0.376
H: 0.598 0.733 0.124
H: 0.414 0.333 0.516
H: 0.667 0.586 0.984
H: 0.586 0.667 0.484
H: 0.333 0.414 0.016
O: 0.805 0.930 0.557
O: 0.070 0.195 0.943
O: 0.195 0.070 0.443
O: 0.930 0.805 0.057
O: 0.651 0.979 0.694
O: 0.021 0.349 0.806
O: 0.349 0.021 0.306
O: 0.979 0.651 0.194
O: 0.618 0.562 0.586
O: 0.438 0.382 0.914
O: 0.382 0.438 0.414
O: 0.562 0.618 0.086

Values from the calculation:
total moment = 2.01 μB per formula unit
energy above the lowest structure with this stoichiometry = 0 meV/atom
DFT formation energy = -1.3584 eV/atom
V = 12.70 Å³ per atom
total energy after the MP2020 corrections = -5.47 eV/atom

***

The following is a PBE calculation of MgO2 after structural relaxation, from the Materials Project.

Unit cell a=3.248 b=3.248 c=3.586 alpha=85.78 beta=85.78 gamma=63.57
Sites, in units of the cell vectors:
Mg: 0.000 0.000 0.000
O: 0.371 0.371 0.759
O: 0.629 0.629 0.241

Values from the calculation:
total moment = 2.00 μB per formula unit
DFT formation energy = -1.4974 eV/atom
V = 11.25 Å³ per atom
total energy after the MP2020 corrections = -5.33 eV/atom

***

The following is a PBE calculation of KSnI3 after structural relaxation, from the Materials Project.

Unit cell a=4.790 b=10.384 c=17.346 alpha=90.00 beta=90.00 gamma=90.00
Sites, in units of the cell vectors:
K: 0.750 0.581 0.172
K: 0.250 0.419 0.828
K: 0.750 0.081 0.328
K: 0.250 0.919 0.672
Sn: 0.250 0.662 0.439
Sn: 0.750 0.338 0.561
Sn: 0.250 0.162 0.061
Sn: 0.750 0.838 0.939
I: 0.750 0.841 0.504
I: 0.250 0.159 0.496
I: 0.750 0.341 0.996
I: 0.250 0.659 0.004
I: 0.250 0.526 0.618
I: 0.750 0.474 0.382
I: 0.250 0.026 0.882
I: 0.750 0.974 0.118
I: 0.250 0.800 0.286
I: 0.750 0.200 0.714
I: 0.250 0.300 0.214
I: 0.750 0.700 0.786

Values from the calculation:
DFT formation energy = -1.1283 eV/atom
V = 43.14 Å³ per atom
total energy after the MP2020 corrections = -3.07 eV/atom

***

The following is a PBE calculation of Na5Nb2Si5Sn2PO24 after structural relaxation, from the Materials Project.

Unit cell a=9.019 b=9.026 c=22.617 alpha=90.07 beta=90.10 gamma=120.01
Sites, in units of the cell vectors:
Na: 0.640 0.004 0.250
Na: 0.367 0.363 0.248
Na: 0.994 0.632 0.248
Na: 0.997 0.363 0.749
Na: 0.034 0.700 0.580
Na: 0.663 0.964 0.580
Na: 0.970 0.668 0.920
Na: 0.702 0.035 0.917
Na: 0.329 0.298 0.920
Na: 0.005 0.005 0.493
Na: 0.005 0.002 0.005
Na: 0.659 0.331 0.831
Na: 0.668 0.335 0.334
Na: 0.330 0.661 0.161
Na: 0.341 0.665 0.664
Nb: 0.003 0.003 0.645
Nb: 0.004 0.999 0.145
Nb: 0.662 0.334 0.686
Nb: 0.669 0.332 0.476
Nb: 0.331 0.669 0.314
Nb: 0.332 0.673 0.810
Si: 0.290 0.002 0.251
Si: 0.711 0.710 0.250
Si: 0.998 0.287 0.250
Si: 0.294 0.291 0.751
Si: 0.996 0.710 0.751
Si: 0.709 0.999 0.750
Si: 0.958 0.335 0.583
Si: 0.378 0.047 0.582
Si: 0.662 0.619 0.582
Si: 0.961 0.626 0.083
Si: 0.374 0.336 0.083
Si: 0.042 0.374 0.916
Si: 0.333 0.958 0.918
Si: 0.629 0.958 0.418
Si: 0.042 0.672 0.418
Sn: 0.998 0.998 0.354
Sn: 0.004 0.002 0.850
Sn: 0.667 0.335 0.183
Sn: 0.666 0.333 0.984
Sn: 0.326 0.662 0.022
Sn: 0.334 0.664 0.519
P: 0.667 0.038 0.083
P: 0.620 0.668 0.916
P: 0.332 0.375 0.417
O: 0.213 0.049 0.307
O: 0.835 0.787 0.307
O: 0.955 0.166 0.307
O: 0.221 0.183 0.812
O: 0.963 0.783 0.811
O: 0.826 0.042 0.810
O: 0.802 0.972 0.692
O: 0.162 0.195 0.695
O: 0.028 0.831 0.693
O: 0.800 0.839 0.193
O: 0.037 0.198 0.193
O: 0.162 0.962 0.194
O: 0.870 0.365 0.642
O: 0.503 0.139 0.639
O: 0.641 0.501 0.640
O: 0.879 0.513 0.143
O: 0.637 0.118 0.139
O: 0.484 0.361 0.143
O: 0.448 0.296 0.022
O: 0.848 0.549 0.022
O: 0.699 0.147 0.026
O: 0.471 0.169 0.526
O: 0.702 0.530 0.526
O: 0.828 0.298 0.527
O: 0.545 0.706 0.971
O: 0.171 0.456 0.971
O: 0.296 0.833 0.973
O: 0.546 0.847 0.478
O: 0.303 0.456 0.472
O: 0.152 0.695 0.478
O: 0.137 0.640 0.360
O: 0.504 0.860 0.360
O: 0.358 0.489 0.361
O: 0.133 0.497 0.858
O: 0.365 0.863 0.860
O: 0.504 0.639 0.862
O: 0.027 0.842 0.412
O: 0.818 0.984 0.413
O: 0.174 0.197 0.411
O: 0.015 0.180 0.911
O: 0.161 0.974 0.912
O: 0.803 0.828 0.910
O: 0.966 0.157 0.590
O: 0.186 0.021 0.590
O: 0.837 0.809 0.591
O: 0.972 0.814 0.090
O: 0.830 0.025 0.090
O: 0.183 0.163 0.090
O: 0.695 0.171 0.742
O: 0.483 0.314 0.742
O: 0.837 0.515 0.743
O: 0.684 0.517 0.245
O: 0.831 0.311 0.243
O: 0.484 0.164 0.243
O: 0.637 0.504 0.920
O: 0.852 0.360 0.921
O: 0.507 0.148 0.920
O: 0.636 0.144 0.422
O: 0.498 0.364 0.422
O: 0.854 0.495 0.423
O: 0.362 0.510 0.079
O: 0.152 0.651 0.080
O: 0.507 0.860 0.077
O: 0.359 0.857 0.580
O: 0.499 0.650 0.580
O: 0.143 0.508 0.579
O: 0.305 0.827 0.257
O: 0.519 0.690 0.257
O: 0.172 0.478 0.257
O: 0.303 0.477 0.757
O: 0.168 0.688 0.756
O: 0.521 0.827 0.757

Values from the calculation:
total moment = 0.00 μB per formula unit
DFT formation energy = -2.7873 eV/atom
V = 13.63 Å³ per atom
total energy after the MP2020 corrections = -7.56 eV/atom

***

The following is a PBE calculation of NdNi5Sn after structural relaxation, from the Materials Project.

Unit cell a=4.921 b=4.921 c=19.715 alpha=90.00 beta=90.00 gamma=120.00
Sites, in units of the cell vectors:
Nd: 0.333 0.667 0.250
Nd: 0.667 0.333 0.750
Nd: 0.000 0.000 0.500
Nd: 0.000 0.000 0.000
Ni: 0.000 0.000 0.250
Ni: 0.000 0.000 0.750
Ni: 0.333 0.667 0.750
Ni: 0.667 0.333 0.250
Ni: 0.333 0.667 0.956
Ni: 0.667 0.333 0.044
Ni: 0.667 0.333 0.456
Ni: 0.333 0.667 0.544
Ni: 0.833 0.167 0.354
Ni: 0.833 0.667 0.354
Ni: 0.333 0.167 0.354
Ni: 0.167 0.833 0.646
Ni: 0.167 0.333 0.646
Ni: 0.667 0.833 0.646
Ni: 0.167 0.833 0.854
Ni: 0.167 0.333 0.854
Ni: 0.667 0.833 0.854
Ni: 0.833 0.167 0.146
Ni: 0.833 0.667 0.146
Ni: 0.333 0.167 0.146
Sn: 0.333 0.667 0.413
Sn: 0.667 0.333 0.587
Sn: 0.667 0.333 0.913
Sn: 0.333 0.667 0.087

Values from the calculation:
total moment = 0.23 μB per formula unit
DFT formation energy = -0.3323 eV/atom
V = 14.77 Å³ per atom